# 1
Na4ZnSe3 | PBE | optimized geometry

a = 7.8523 Å, b = 7.8523 Å, c = 9.9990 Å
α = 110.12°, β = 110.12°, γ = 55.59°
Fractional coordinates of all 16 atoms:
Na 0.1569 0.8431 0.5000
Na 0.1930 0.6212 0.7776
Na 0.4339 0.7621 0.1828
Na 0.6212 0.1930 0.2776
Na 0.6549 0.9898 0.5872
Na 0.7621 0.4339 0.6828
Na 0.8431 0.1569 0.0000
Na 0.9898 0.6549 0.0872
Zn 0.0887 0.3887 0.3757
Zn 0.3887 0.0887 0.8757
Se 0.0580 0.0815 0.2932
Se 0.0815 0.0580 0.7932
Se 0.3985 0.4030 0.0226
Se 0.4030 0.3985 0.5226
Se 0.7359 0.8183 0.8262
Se 0.8183 0.7359 0.3262

Size of the total moment: 0.00 μB/cell
Total energy: -3.07 eV/atom

=====

# 2
CsTiAlO4 | PBE | optimized geometry

a = 7.4287 Å, b = 7.4287 Å, c = 7.4287 Å
α = 133.86°, β = 103.85°, γ = 93.88°
Fractional coordinates of all 14 atoms:
Cs 0.0000 0.0000 0.0000
Cs 0.5968 0.0968 0.5000
Ti 0.0178 0.7170 0.3008
Ti 0.4163 0.7170 0.6992
Al 0.1912 0.3793 0.8119
Al 0.5674 0.3793 0.1881
O 0.0330 0.0558 0.4880
O 0.0330 0.5451 0.9773
O 0.2239 0.7239 0.5000
O 0.2962 0.5453 0.7509
O 0.3734 0.3734 0.0000
O 0.5678 0.0558 0.0227
O 0.5678 0.5451 0.5120
O 0.7943 0.5453 0.2491

Size of the total moment: 0.00 μB/cell
Total energy: -7.45 eV/atom

=====

# 3
La2Ti3O9 | PBE | optimized geometry

a = 5.9140 Å, b = 7.9204 Å, c = 9.0121 Å
α = 108.40°, β = 108.24°, γ = 91.23°
Fractional coordinates of all 28 atoms:
La 0.1288 0.1927 0.2149
La 0.1932 0.8192 0.4202
La 0.8068 0.1808 0.5798
La 0.8712 0.8073 0.7851
Ti 0.2334 0.5136 0.0016
Ti 0.3389 0.4839 0.6609
Ti 0.4263 0.0757 0.8511
Ti 0.5737 0.9243 0.1489
Ti 0.6611 0.5161 0.3391
Ti 0.7666 0.4864 0.9984
O 0.0101 0.6753 0.0453
O 0.1184 0.0114 0.6943
O 0.1215 0.5214 0.7754
O 0.1841 0.2810 0.4966
O 0.2837 0.9968 0.0016
O 0.3433 0.5387 0.2370
O 0.3878 0.6787 0.6097
O 0.4209 0.9750 0.3098
O 0.4598 0.3246 0.9487
O 0.5402 0.6754 0.0513
O 0.5791 0.0250 0.6902
O 0.6122 0.3213 0.3903
O 0.6567 0.4613 0.7630
O 0.7163 0.0032 0.9984
O 0.8159 0.7190 0.5034
O 0.8785 0.4786 0.2246
O 0.8816 0.9886 0.3057
O 0.9899 0.3247 0.9547

Size of the total moment: 0.00 μB/cell
Relative energy among the computed polymorphs: 0.1 kJ/mol of atoms
Total energy: -8.82 eV/atom

=====

# 4
U3Al12Ru4 | PBE | optimized geometry

a = 8.8294 Å, b = 8.8294 Å, c = 9.4419 Å
α = 90.00°, β = 90.00°, γ = 120.00°
Fractional coordinates of all 38 atoms:
U 0.2041 0.4082 0.2500
U 0.2041 0.7959 0.2500
U 0.4082 0.2041 0.7500
U 0.5918 0.7959 0.2500
U 0.7959 0.2041 0.7500
U 0.7959 0.5918 0.7500
Al 0.0000 0.0000 0.2500
Al 0.0000 0.0000 0.7500
Al 0.1236 0.5618 0.7500
Al 0.1605 0.3210 0.5808
Al 0.1605 0.3210 0.9192
Al 0.1605 0.8395 0.5808
Al 0.1605 0.8395 0.9192
Al 0.3210 0.1605 0.0808
Al 0.3210 0.1605 0.4192
Al 0.3333 0.6667 0.0120
Al 0.3333 0.6667 0.4880
Al 0.4382 0.5618 0.7500
Al 0.4382 0.8764 0.7500
Al 0.5618 0.1236 0.2500
Al 0.5618 0.4382 0.2500
Al 0.6667 0.3333 0.5120
Al 0.6667 0.3333 0.9880
Al 0.6790 0.8395 0.5808
Al 0.6790 0.8395 0.9192
Al 0.8395 0.1605 0.0808
Al 0.8395 0.1605 0.4192
Al 0.8395 0.6790 0.0808
Al 0.8395 0.6790 0.4192
Al 0.8764 0.4382 0.2500
Ru 0.0000 0.0000 0.0000
Ru 0.0000 0.0000 0.5000
Ru 0.0000 0.5000 0.0000
Ru 0.0000 0.5000 0.5000
Ru 0.5000 0.0000 0.0000
Ru 0.5000 0.0000 0.5000
Ru 0.5000 0.5000 0.0000
Ru 0.5000 0.5000 0.5000

Size of the total moment: 10.67 μB/cell
Total energy: -6.56 eV/atom

=====

# 5
MgTi2P2O10 | PBE | optimized geometry

a = 8.9984 Å, b = 6.7273 Å, c = 10.0178 Å
α = 61.34°, β = 41.00°, γ = 77.66°
Fractional coordinates of all 30 atoms:
Mg 0.0000 0.0000 0.0000
Mg 0.2500 0.2500 0.2500
Ti 0.1508 0.6240 0.6121
Ti 0.6240 0.1508 0.6132
Ti 0.6368 0.6379 0.6260
Ti 0.6379 0.6368 0.0992
P 0.0498 0.4700 0.0331
P 0.2169 0.8028 0.2002
P 0.4700 0.0498 0.4472
P 0.8028 0.2169 0.7800
O 0.0113 0.3393 0.6884
O 0.0747 0.3803 0.8995
O 0.2000 0.8912 0.3283
O 0.2572 0.9170 0.5509
O 0.2890 0.5616 0.9107
O 0.3393 0.0113 0.9610
O 0.3505 0.6045 0.1753
O 0.3803 0.0747 0.6455
O 0.4313 0.5889 0.4068
O 0.5616 0.2890 0.2387
O 0.5889 0.4313 0.5730
O 0.6045 0.3505 0.8697
O 0.6695 0.9217 0.3588
O 0.6770 0.8432 0.6611
O 0.6991 0.9751 0.9928
O 0.8432 0.6770 0.8187
O 0.8912 0.2000 0.5805
O 0.9170 0.2572 0.2749
O 0.9217 0.6695 0.0500
O 0.9751 0.6991 0.3330

Size of the total moment: 0.00 μB/cell
Relative energy among the computed polymorphs: 12.8 kJ/mol of atoms
Total energy: -7.74 eV/atom

=====

# 6
KCN | PBE | optimized geometry

a = 3.9577 Å, b = 3.9577 Å, c = 3.9600 Å
α = 91.13°, β = 91.13°, γ = 86.97°
Fractional coordinates of all 3 atoms:
K 0.0000 0.0000 0.0000
C 0.5567 0.5567 0.3959
N 0.3909 0.3909 0.5663

Size of the total moment: 0.00 μB/cell
Relative energy among the computed polymorphs: 4.2 kJ/mol of atoms
Total energy: -6.45 eV/atom

=====

# 7
Dy2Cu4Sn5 | PBE | optimized geometry

a = 12.3118 Å, b = 12.3118 Å, c = 12.3118 Å
α = 158.96°, β = 158.96°, γ = 29.93°
Fractional coordinates of all 11 atoms:
Dy 0.0000 0.0000 0.0000
Dy 0.3212 0.3212 0.0000
Cu 0.4113 0.9113 0.5000
Cu 0.4478 0.4478 0.0000
Cu 0.5456 0.5456 0.0000
Cu 0.9113 0.4113 0.5000
Sn 0.1043 0.6043 0.5000
Sn 0.2261 0.7261 0.5000
Sn 0.6043 0.1043 0.5000
Sn 0.7261 0.2261 0.5000
Sn 0.8486 0.8486 0.0000

Size of the total moment: 0.00 μB/cell
Total energy: -4.37 eV/atom

=====

# 8
KNaCaMg5Si8O22F2 | PBE | optimized geometry

a = 5.3199 Å, b = 10.1038 Å, c = 10.3943 Å
α = 60.93°, β = 82.94°, γ = 75.36°
Fractional coordinates of all 40 atoms:
K 0.0000 0.0000 0.0000
Na 0.5251 0.2095 0.5544
Ca 0.5251 0.7625 0.4482
Mg 0.0252 0.3045 0.3648
Mg 0.0249 0.4863 0.0021
Mg 0.0251 0.6637 0.6466
Mg 0.5249 0.3955 0.1835
Mg 0.5248 0.5753 0.8241
Si 0.2204 0.5983 0.3445
Si 0.2214 0.9437 0.6582
Si 0.3241 0.1270 0.1708
Si 0.3251 0.2959 0.8311
Si 0.7251 0.8469 0.8313
Si 0.7261 0.6763 0.1706
Si 0.8288 0.3724 0.6578
Si 0.8297 0.0310 0.3450
O 0.1166 0.2733 0.7433
O 0.1220 0.0108 0.2625
O 0.2258 0.0941 0.5039
O 0.2279 0.6046 0.4955
O 0.2440 0.2913 0.1714
O 0.2435 0.4619 0.8305
O 0.2962 0.4372 0.3369
O 0.3005 0.7741 0.6606
O 0.3302 0.1522 0.0016
O 0.4322 0.9424 0.7674
O 0.4350 0.7094 0.2392
O 0.6159 0.0254 0.2388
O 0.6187 0.2637 0.7678
O 0.7215 0.8200 0.0016
O 0.7494 0.5392 0.6607
O 0.7537 0.1998 0.3368
O 0.8061 0.5112 0.1714
O 0.8066 0.6813 0.8306
O 0.8220 0.8735 0.4955
O 0.8241 0.3756 0.5039
O 0.9277 0.7005 0.2628
O 0.9331 0.9575 0.7431
F 0.3122 0.5855 0.0012
F 0.7386 0.3864 0.0011

Size of the total moment: 0.00 μB/cell
Total energy: -7.08 eV/atom

=====

# 9
TiAg | PBE | optimized geometry

a = 2.9187 Å, b = 2.9187 Å, c = 8.2710 Å
α = 90.00°, β = 90.00°, γ = 90.00°
Fractional coordinates of all 4 atoms:
Ti 0.2500 0.2500 0.1137
Ti 0.7500 0.7500 0.8863
Ag 0.2500 0.2500 0.6300
Ag 0.7500 0.7500 0.3700

Total energy: -5.43 eV/atom

=====

# 10
Ca5Zn3 | PBE | optimized geometry

a = 9.4678 Å, b = 9.4678 Å, c = 9.4678 Å
α = 130.72°, β = 130.72°, γ = 72.27°
Fractional coordinates of all 16 atoms:
Ca 0.0000 0.0000 0.0000
Ca 0.0234 0.5234 0.8409
Ca 0.1825 0.0234 0.5000
Ca 0.3175 0.8175 0.8409
Ca 0.4766 0.3175 0.5000
Ca 0.5000 0.5000 0.0000
Ca 0.5234 0.6825 0.5000
Ca 0.6825 0.1825 0.1591
Ca 0.8175 0.9766 0.5000
Ca 0.9766 0.4766 0.1591
Zn 0.1173 0.3827 0.5000
Zn 0.2500 0.2500 0.0000
Zn 0.3827 0.8827 0.2654
Zn 0.6173 0.1173 0.7346
Zn 0.7500 0.7500 0.0000
Zn 0.8827 0.6173 0.5000

Total energy: -1.93 eV/atom

=====

# 11
La2Sn4Ir | PBE | optimized geometry

a = 4.6912 Å, b = 8.9044 Å, c = 8.9044 Å
α = 30.80°, β = 90.00°, γ = 90.00°
Fractional coordinates of all 7 atoms:
La 0.0000 0.0000 0.0000
La 0.5000 0.2051 0.2051
Sn 0.0000 0.3645 0.3645
Sn 0.0000 0.6429 0.6429
Sn 0.5000 0.5294 0.5294
Sn 0.5000 0.8663 0.8663
Ir 0.0000 0.7942 0.7942

Size of the total moment: 0.00 μB/cell
Total energy: -5.62 eV/atom

=====

# 12
MgO | PBE | optimized geometry

a = 11.4220 Å, b = 11.4220 Å, c = 11.4220 Å
α = 148.81°, β = 38.07°, γ = 158.70°
Fractional coordinates of all 24 atoms:
Mg 0.0476 0.6677 0.7153
Mg 0.1282 0.1647 0.2929
Mg 0.2094 0.6657 0.8750
Mg 0.2906 0.1657 0.4563
Mg 0.3718 0.6647 0.0365
Mg 0.4524 0.1677 0.6201
Mg 0.5476 0.8323 0.3799
Mg 0.6282 0.3353 0.9635
Mg 0.7094 0.8343 0.5437
Mg 0.7906 0.3343 0.1250
Mg 0.8718 0.8353 0.7071
Mg 0.9524 0.3323 0.2847
O 0.0476 0.3277 0.3753
O 0.1283 0.8348 0.9631
O 0.2094 0.3344 0.5438
O 0.2906 0.8344 0.1250
O 0.3717 0.3348 0.7064
O 0.4524 0.8277 0.2802
O 0.5476 0.1723 0.7198
O 0.6283 0.6652 0.2936
O 0.7094 0.1656 0.8750
O 0.7906 0.6656 0.4562
O 0.8717 0.1652 0.0369
O 0.9524 0.6723 0.6247

Total energy: -5.92 eV/atom

=====

# 13
LuB6 | PBE | optimized geometry

a = 4.0758 Å, b = 4.0758 Å, c = 4.0758 Å
α = 90.00°, β = 90.00°, γ = 90.00°
Fractional coordinates of all 7 atoms:
Lu 0.0000 0.0000 0.0000
B 0.1984 0.5000 0.5000
B 0.5000 0.1984 0.5000
B 0.5000 0.5000 0.1984
B 0.5000 0.5000 0.8016
B 0.5000 0.8016 0.5000
B 0.8016 0.5000 0.5000

Size of the total moment: 0.00 μB/cell
Total energy: -6.68 eV/atom

=====

Quick rundown of ΔH_f (0 K), same order as above: -1112, -3222, -3684, -455, -3017, -345, -220, -3266, -65, -201, -660, -2990, -310 meV per atom